# 1
Density functional theory data (PBE) for a geometry-optimized Ti4Fe5Sb5 structure.

Summary:
* calculated formation energy: 0.00 eV per atom
* E_tot: -6.689 eV per atom

Cell lengths 3.2988, 3.2988, 78.3167 Å; angles 90.00, 90.00, 120.00 degrees
Space group R3m (No. 160, hexagonal axes)
Asymmetric unit:
Ti  0.0000  0.0000  0.0000 [3 per cell]
Ti  0.0000  0.0000  0.1905 [3 per cell]
Ti  0.0000  0.0000  0.4047 [3 per cell]
Ti  0.0000  0.0000  0.5954 [3 per cell]
Fe  0.0000  0.0000  0.1398 [3 per cell]
Fe  0.0000  0.0000  0.3542 [3 per cell]
Fe  0.0000  0.0000  0.5444 [3 per cell]
Fe  0.0000  0.0000  0.7585 [3 per cell]
Fe  0.0000  0.0000  0.9492 [3 per cell]
Sb  0.0000  0.0000  0.0436 [3 per cell]
Sb  0.0000  0.0000  0.2337 [3 per cell]
Sb  0.0000  0.0000  0.4492 [3 per cell]
Sb  0.0000  0.0000  0.6385 [3 per cell]
Sb  0.0000  0.0000  0.8290 [3 per cell]

=====

# 2
Density functional theory data (PBE) for a geometry-optimized RbLaSiS4 structure.

Summary:
* calculated formation energy: -1.77 eV per atom
* E_tot: -5.467 eV per atom

Cell lengths 17.569, 6.696, 6.633 Å; angles 90.00, 90.00, 90.00 degrees
Space group Pnma (No. 62)
Asymmetric unit:
Rb  0.216  0.250  0.035 [4 per cell]
La  0.025  0.750  0.713 [4 per cell]
Si  0.088  0.750  0.215 [4 per cell]
S  0.029  0.250  0.870 [4 per cell]
S  0.107  0.000  0.409 [8 per cell]
S  0.161  0.750  0.962 [4 per cell]

=====

# 3
Density functional theory data (PBE) for a geometry-optimized KU3 structure.

Summary:
* calculated formation energy: 0.88 eV per atom
* E_tot: -7.868 eV per atom

Cell lengths 4.845, 14.831, 9.597 Å; angles 90.00, 120.26, 90.00 degrees
Space group P2_1/c (No. 14)
Asymmetric unit:
K  0.007  0.024  0.287 [4 per cell]
U  0.015  0.731  0.504 [4 per cell]
U  0.317  0.221  0.826 [4 per cell]
U  0.356  0.733  0.844 [4 per cell]